(1)
## Sc2Mn2O7 (GGA+U)

Data for crystalline Sc2Mn2O7 at its relaxed geometry.

Computed properties:
Its formation energy is -2.81 eV per atom.

POSCAR file:
```
Sc2Mn2O7
1.0
0.779 -5.010 4.635
3.860 -5.485 -1.487
6.057 -0.884 3.117
Sc Mn O
4 4 14
direct
0.500 0.500 0.500 Sc
0.500 0.500 0.000 Sc
0.000 0.500 0.500 Sc
0.500 0.000 0.500 Sc
0.000 0.000 0.000 Mn
0.000 0.000 0.500 Mn
0.500 0.000 0.000 Mn
0.000 0.500 0.000 Mn
0.913 0.913 0.337 O
0.663 0.663 0.087 O
0.337 0.913 0.913 O
0.913 0.337 0.913 O
0.337 0.913 0.337 O
0.913 0.337 0.337 O
0.087 0.087 0.663 O
0.087 0.663 0.087 O
0.375 0.375 0.375 O
0.625 0.625 0.625 O
0.337 0.337 0.913 O
0.663 0.087 0.087 O
0.087 0.663 0.663 O
0.663 0.087 0.663 O
```



(2)
## MnSe2O9 (GGA+U)

Data for crystalline MnSe2O9 at its relaxed geometry.

Computed properties:
The calculation puts the magnetic moment at 0.461 μB per atom. Its formation energy is -0.86 eV per atom.

POSCAR file:
```
MnSe2O9
1.0
-2.063 3.968 -2.227
1.591 4.753 6.995
13.431 2.378 -8.204
Mn Se O
4 8 36
direct
0.255 0.747 0.989 Mn
0.245 0.247 0.489 Mn
0.745 0.253 0.011 Mn
0.755 0.753 0.511 Mn
0.761 0.636 0.107 Se
0.739 0.136 0.607 Se
0.239 0.364 0.893 Se
0.261 0.864 0.393 Se
0.242 0.112 0.118 Se
0.258 0.612 0.618 Se
0.758 0.888 0.882 Se
0.742 0.388 0.382 Se
0.581 0.761 0.057 O
0.919 0.261 0.557 O
0.419 0.239 0.943 O
0.081 0.739 0.443 O
0.078 0.627 0.066 O
0.422 0.127 0.566 O
0.922 0.373 0.934 O
0.578 0.873 0.434 O
0.627 0.451 0.083 O
0.873 0.951 0.583 O
0.373 0.549 0.917 O
0.127 0.049 0.417 O
0.762 0.698 0.209 O
0.738 0.198 0.709 O
0.238 0.302 0.791 O
0.262 0.802 0.291 O
0.567 0.134 0.088 O
0.933 0.634 0.588 O
0.433 0.866 0.912 O
0.067 0.366 0.412 O
0.057 0.259 0.086 O
0.443 0.759 0.586 O
0.943 0.741 0.914 O
0.557 0.241 0.414 O
0.119 0.937 0.065 O
0.381 0.437 0.565 O
0.881 0.063 0.935 O
0.619 0.563 0.435 O
0.229 0.121 0.221 O
0.271 0.621 0.721 O
0.771 0.879 0.779 O
0.729 0.379 0.279 O
0.791 0.995 0.251 O
0.709 0.495 0.751 O
0.209 0.005 0.749 O
0.291 0.505 0.249 O
```



(3)
## MnSe2O5 (GGA+U)

Data for crystalline MnSe2O5 at its relaxed geometry.

Computed properties:
Its formation energy is -1.49 eV per atom.

POSCAR file:
```
MnSe2O5
1.0
5.786 0.083 -1.624
3.279 6.204 3.189
2.597 -5.973 8.950
Mn Se O
4 8 20
direct
0.250 0.000 0.082 Mn
0.250 0.500 0.418 Mn
0.750 0.500 0.582 Mn
0.750 0.000 0.918 Mn
0.475 0.657 0.861 Se
0.975 0.157 0.361 Se
0.025 0.343 0.861 Se
0.525 0.843 0.361 Se
0.525 0.343 0.139 Se
0.025 0.843 0.639 Se
0.975 0.657 0.139 Se
0.475 0.157 0.639 Se
0.750 0.500 0.925 O
0.250 0.000 0.425 O
0.250 0.500 0.075 O
0.750 0.000 0.575 O
0.539 0.689 0.716 O
0.039 0.189 0.216 O
0.961 0.311 0.716 O
0.461 0.811 0.216 O
0.461 0.311 0.284 O
0.961 0.811 0.784 O
0.039 0.689 0.284 O
0.539 0.189 0.784 O
0.991 0.850 0.065 O
0.491 0.350 0.565 O
0.509 0.150 0.065 O
0.009 0.650 0.565 O
0.009 0.150 0.935 O
0.509 0.650 0.435 O
0.491 0.850 0.935 O
0.991 0.350 0.435 O
```



(4)
## MnSe2O5 (GGA+U)

Data for crystalline MnSe2O5 at its relaxed geometry.

Computed properties:
Its formation energy is -1.50 eV per atom.

POSCAR file:
```
MnSe2O5
1.0
-4.136 -3.507 3.427
-1.363 -3.889 -5.624
8.003 -6.765 2.737
Mn Se O
4 8 20
direct
0.750 0.000 0.940 Mn
0.250 0.500 0.560 Mn
0.250 0.000 0.060 Mn
0.750 0.500 0.440 Mn
0.042 0.366 0.844 Se
0.542 0.134 0.656 Se
0.958 0.866 0.656 Se
0.458 0.634 0.844 Se
0.958 0.634 0.156 Se
0.458 0.866 0.344 Se
0.042 0.134 0.344 Se
0.542 0.366 0.156 Se
0.250 0.000 0.430 O
0.750 0.500 0.070 O
0.750 0.000 0.570 O
0.250 0.500 0.930 O
0.667 0.301 0.287 O
0.167 0.199 0.213 O
0.333 0.801 0.213 O
0.833 0.699 0.287 O
0.333 0.699 0.713 O
0.833 0.801 0.787 O
0.667 0.199 0.787 O
0.167 0.301 0.713 O
0.049 0.340 0.432 O
0.549 0.160 0.068 O
0.951 0.840 0.068 O
0.451 0.660 0.432 O
0.951 0.660 0.568 O
0.451 0.840 0.932 O
0.049 0.160 0.932 O
0.549 0.340 0.568 O
```



(5)
## MnSeO5 (GGA+U)

Data for crystalline MnSeO5 at its relaxed geometry.

Computed properties:
The calculation puts the magnetic moment at 0.429 μB per atom. Its formation energy is -0.95 eV per atom.

POSCAR file:
```
MnSeO5
1.0
0.000 -6.663 0.000
-5.994 0.000 1.417
-0.071 0.000 -9.964
Mn Se O
4 4 20
direct
0.045 0.193 0.132 Mn
0.545 0.807 0.368 Mn
0.955 0.807 0.868 Mn
0.455 0.193 0.632 Mn
0.210 0.661 0.126 Se
0.710 0.339 0.374 Se
0.790 0.339 0.874 Se
0.290 0.661 0.626 Se
0.558 0.136 0.434 O
0.058 0.864 0.066 O
0.442 0.864 0.566 O
0.942 0.136 0.934 O
0.999 0.505 0.155 O
0.499 0.495 0.345 O
0.001 0.495 0.845 O
0.501 0.505 0.655 O
0.760 0.186 0.212 O
0.260 0.814 0.288 O
0.240 0.814 0.788 O
0.740 0.186 0.712 O
0.664 0.792 0.204 O
0.164 0.208 0.296 O
0.336 0.208 0.796 O
0.836 0.792 0.704 O
0.805 0.768 0.407 O
0.305 0.232 0.093 O
0.195 0.232 0.593 O
0.695 0.768 0.907 O
```



(6)
## MnSeO5 (GGA+U)

Data for crystalline MnSeO5 at its relaxed geometry.

Computed properties:
The calculation puts the magnetic moment at 0.429 μB per atom. Its formation energy is -1.04 eV per atom.

POSCAR file:
```
MnSeO5
1.0
4.733 3.018 0.000
-4.733 3.018 0.000
0.000 3.006 6.698
Mn Se O
2 2 10
direct
0.000 0.000 0.500 Mn
0.000 0.000 0.000 Mn
0.438 0.562 0.250 Se
0.562 0.438 0.750 Se
0.575 0.905 0.211 O
0.095 0.425 0.289 O
0.425 0.095 0.789 O
0.905 0.575 0.711 O
0.403 0.282 0.431 O
0.718 0.597 0.069 O
0.597 0.718 0.569 O
0.282 0.403 0.931 O
0.067 0.933 0.250 O
0.933 0.067 0.750 O
```



(7)
## Mn4Se4O15 (GGA+U)

Data for crystalline Mn4Se4O15 at its relaxed geometry.

Computed properties:
The calculation puts the magnetic moment at 0.609 μB per atom. Its formation energy is -1.35 eV per atom.

POSCAR file:
```
Mn4Se4O15
1.0
0.000 -8.432 0.000
-8.297 0.000 4.106
0.147 0.000 -9.541
Mn Se O
8 8 30
direct
0.974 0.319 0.013 Mn
0.474 0.681 0.987 Mn
0.370 0.335 0.016 Mn
0.870 0.665 0.984 Mn
0.971 0.047 0.336 Mn
0.471 0.953 0.664 Mn
0.376 0.044 0.358 Mn
0.876 0.956 0.642 Mn
0.178 0.251 0.673 Se
0.678 0.749 0.327 Se
0.180 0.380 0.358 Se
0.680 0.620 0.642 Se
0.666 0.316 0.750 Se
0.166 0.684 0.250 Se
0.796 0.044 0.022 Se
0.296 0.956 0.978 Se
0.177 0.279 0.866 O
0.677 0.721 0.134 O
0.184 0.322 0.150 O
0.684 0.678 0.850 O
0.840 0.241 0.153 O
0.340 0.759 0.847 O
0.926 0.046 0.877 O
0.426 0.954 0.123 O
0.806 0.397 0.899 O
0.306 0.603 0.101 O
0.490 0.393 0.856 O
0.990 0.607 0.144 O
0.911 0.934 0.097 O
0.411 0.066 0.903 O
0.176 0.183 0.351 O
0.676 0.817 0.649 O
0.318 0.094 0.590 O
0.818 0.906 0.410 O
0.163 0.886 0.282 O
0.663 0.114 0.718 O
0.002 0.145 0.606 O
0.502 0.855 0.394 O
0.366 0.439 0.410 O
0.866 0.561 0.590 O
0.521 0.380 0.153 O
0.021 0.620 0.847 O
0.840 0.209 0.380 O
0.340 0.791 0.620 O
0.520 0.196 0.420 O
0.020 0.804 0.580 O
```



(8)
## MnSeO5 (GGA+U)

Data for crystalline MnSeO5 at its relaxed geometry.

Computed properties:
The calculation puts the magnetic moment at 0.429 μB per atom. Its formation energy is -1.25 eV per atom.

POSCAR file:
```
MnSeO5
1.0
0.920 -4.694 2.685
3.904 -2.321 -3.075
6.250 4.289 0.160
Mn Se O
2 2 10
direct
0.000 0.500 0.500 Mn
0.500 0.000 0.000 Mn
0.921 0.921 0.750 Se
0.079 0.079 0.250 Se
0.267 0.791 0.891 O
0.791 0.267 0.609 O
0.733 0.209 0.109 O
0.209 0.733 0.391 O
0.824 0.784 0.582 O
0.784 0.824 0.918 O
0.176 0.216 0.418 O
0.216 0.176 0.082 O
0.316 0.316 0.750 O
0.684 0.684 0.250 O
```



(9)
## Mn5Se8O24 (GGA+U)

Data for crystalline Mn5Se8O24 at its relaxed geometry.

Computed properties:
The calculation puts the magnetic moment at 0.514 μB per atom. Its formation energy is -1.42 eV per atom.

POSCAR file:
```
Mn5Se8O24
1.0
8.139 0.000 0.000
3.229 9.958 0.000
1.714 1.693 14.084
Mn Se O
10 16 48
direct
0.748 0.004 0.748 Mn
0.751 0.495 0.745 Mn
0.442 0.776 0.781 Mn
0.099 0.646 0.784 Mn
0.558 0.224 0.219 Mn
0.252 0.996 0.252 Mn
0.249 0.505 0.255 Mn
0.901 0.354 0.216 Mn
0.938 0.774 0.279 Mn
0.062 0.226 0.721 Mn
0.416 0.475 0.894 Se
0.362 0.056 0.881 Se
0.638 0.944 0.119 Se
0.584 0.525 0.106 Se
0.867 0.210 0.900 Se
0.773 0.739 0.910 Se
0.227 0.261 0.090 Se
0.133 0.790 0.100 Se
0.366 0.209 0.400 Se
0.279 0.734 0.409 Se
0.721 0.266 0.591 Se
0.634 0.791 0.600 Se
0.892 0.487 0.393 Se
0.862 0.055 0.383 Se
0.138 0.945 0.617 Se
0.108 0.513 0.607 Se
0.581 0.416 0.807 O
0.644 0.668 0.849 O
0.284 0.140 0.777 O
0.583 0.038 0.861 O
0.322 0.649 0.847 O
0.362 0.889 0.881 O
0.259 0.419 0.869 O
0.865 0.825 0.812 O
0.940 0.110 0.802 O
0.942 0.343 0.822 O
0.741 0.581 0.131 O
0.638 0.111 0.119 O
0.678 0.351 0.153 O
0.946 0.602 0.914 O
0.417 0.962 0.139 O
0.982 0.849 0.025 O
0.716 0.860 0.223 O
0.018 0.151 0.975 O
0.356 0.332 0.151 O
0.419 0.584 0.193 O
0.054 0.398 0.086 O
0.058 0.657 0.178 O
0.060 0.890 0.198 O
0.135 0.175 0.188 O
0.366 0.824 0.313 O
0.438 0.108 0.302 O
0.434 0.344 0.320 O
0.431 0.590 0.425 O
0.070 0.424 0.305 O
0.139 0.666 0.345 O
0.479 0.849 0.527 O
0.784 0.152 0.277 O
0.521 0.151 0.473 O
0.080 0.045 0.361 O
0.569 0.410 0.575 O
0.811 0.654 0.349 O
0.860 0.892 0.379 O
0.773 0.405 0.351 O
0.566 0.656 0.680 O
0.562 0.892 0.698 O
0.634 0.176 0.687 O
0.227 0.595 0.649 O
0.140 0.108 0.621 O
0.189 0.346 0.651 O
0.920 0.955 0.639 O
0.216 0.848 0.723 O
0.861 0.334 0.655 O
0.930 0.576 0.695 O
```



(10)
## MnSe2O6 (GGA+U)

Data for crystalline MnSe2O6 at its relaxed geometry.

Computed properties:
Its formation energy is -1.43 eV per atom.

POSCAR file:
```
MnSe2O6
1.0
-0.924 -2.320 4.531
6.236 1.900 2.244
-2.866 6.370 2.571
Mn Se O
2 4 12
direct
0.500 0.500 0.500 Mn
0.000 0.000 0.000 Mn
0.512 0.175 0.198 Se
0.988 0.675 0.302 Se
0.012 0.325 0.698 Se
0.488 0.825 0.802 Se
0.551 0.584 0.746 O
0.949 0.084 0.754 O
0.449 0.416 0.254 O
0.051 0.916 0.246 O
0.202 0.780 0.916 O
0.298 0.280 0.584 O
0.197 0.663 0.490 O
0.303 0.163 0.010 O
0.803 0.337 0.510 O
0.697 0.837 0.990 O
0.702 0.720 0.416 O
0.798 0.220 0.084 O
```



(11)
## Sr2Mn2SeO4 (GGA+U)

Data for crystalline Sr2Mn2SeO4 at its relaxed geometry.

Computed properties:
The calculation puts the magnetic moment at 0.000 μB per atom. Its formation energy is -2.35 eV per atom.

POSCAR file:
```
Sr2Mn2SeO4
1.0
-4.269 1.499 -4.461
-7.158 -1.948 6.196
0.102 9.933 3.241
Sr Mn Se O
8 8 4 16
direct
0.235 0.872 0.452 Sr
0.265 0.372 0.048 Sr
0.765 0.128 0.952 Sr
0.735 0.628 0.548 Sr
0.765 0.128 0.548 Sr
0.735 0.628 0.952 Sr
0.235 0.872 0.048 Sr
0.265 0.372 0.452 Sr
0.725 0.880 0.250 Mn
0.775 0.380 0.250 Mn
0.275 0.120 0.750 Mn
0.225 0.620 0.750 Mn
0.532 0.621 0.250 Mn
0.968 0.121 0.250 Mn
0.468 0.379 0.750 Mn
0.032 0.879 0.750 Mn
0.409 0.115 0.250 Se
0.091 0.615 0.250 Se
0.591 0.885 0.750 Se
0.909 0.385 0.750 Se
0.602 0.476 0.373 O
0.898 0.976 0.127 O
0.398 0.524 0.873 O
0.102 0.024 0.627 O
0.398 0.524 0.627 O
0.102 0.024 0.873 O
0.602 0.476 0.127 O
0.898 0.976 0.373 O
0.575 0.769 0.375 O
0.925 0.269 0.125 O
0.425 0.231 0.875 O
0.075 0.731 0.625 O
0.425 0.231 0.625 O
0.075 0.731 0.875 O
0.575 0.769 0.125 O
0.925 0.269 0.375 O
```



no.,total energy after the MP2020 corrections (eV per cell)
1,-192.96
2,-284.13
3,-211.27
4,-211.47
5,-176.23
6,-89.41
7,-311.98
8,-92.35
9,-489.88
10,-117.39
11,-264.62